This record from the Materials Project database describes TbMg16Al12 after structural relaxation. The functional is GGA-PBE.

Cell and atoms, written as extended XYZ:
```
29
Lattice="5.2842 -7.5980 0.0000 5.2842 7.5980 0.0000 -5.6408 0.0000 7.3372" Properties=species:S:1:pos:R:3 pbc="T T T"
Tb 1.8345 0.0000 2.7316
Mg -0.7163 0.0000 5.2585
Mg 3.6749 3.0540 2.3094
Mg 4.8778 0.0000 2.0556
Mg 6.8292 0.0000 4.8024
Mg 1.2626 2.5143 4.4836
Mg 1.2626 -2.5143 4.4836
Mg 4.9136 0.0000 7.3163
Mg 1.4264 -5.2209 2.8918
Mg 3.1037 2.5910 7.3044
Mg 1.4264 5.2209 2.8918
Mg 3.6749 -3.0540 2.3094
Mg 5.7130 2.2397 0.0129
Mg -1.7940 2.9812 5.0546
Mg 5.7130 -2.2397 0.0129
Mg 3.1037 -2.5910 7.3044
Mg -1.7940 -2.9812 5.0546
Al 7.5800 0.0000 1.2824
Al 0.6345 4.8304 5.9469
Al 0.8901 2.7531 1.3564
Al 2.0832 0.0000 5.9463
Al -1.0676 1.3916 2.6712
Al 0.8901 -2.7531 1.3564
Al 4.0579 1.3734 4.6200
Al 0.6345 -4.8304 5.9469
Al 4.0579 -1.3734 4.6200
Al 2.8909 -1.3615 0.0126
Al -1.0676 -1.3916 2.6712
Al 2.8909 1.3615 0.0126
```

Its energy is -77.08 eV/cell. As for the total magnetic moment: 0.0 μB/f.u. The calculation puts the formation energy at -0.0653 eV/atom.